Record 1
Compound: P3W2O13
Source: the Materials Project database
Functional: PBE with a Hubbard U
Structure: relaxed

Output
* E (MP2020): -8.340 eV/atom
* distance to the lowest polymorph of the same formula: 0.008 eV per atom
* volume: 14.6 Å³ per atom
* DFT formation energy: -2.424 eV/atom

Cell lengths 6.4520, 7.5463, 11.3183 Å; angles 76.41, 86.24, 79.75 degrees
Space group P-1 (No. 2)
One atom of each set of equivalent atoms:
P 0.1186 0.4752 0.3111 x2
P 0.2614 0.7983 0.3347 x2
P 0.2643 0.9349 0.8903 x2
W 0.2109 0.2098 0.0935 x2
W 0.2381 0.2005 0.5935 x2
O 0.0806 0.7872 0.4288 x2
O 0.0934 0.8090 0.9059 x2
O 0.1077 0.4535 0.6589 x2
O 0.1418 0.3774 0.2030 x2
O 0.2129 0.3752 0.9589 x2
O 0.2225 0.0992 0.7841 x2
O 0.2404 0.6474 0.2557 x2
O 0.2422 0.9867 0.2468 x2
O 0.2456 0.3500 0.4170 x2
O 0.2648 0.0017 0.0105 x2
O 0.3094 0.9775 0.5725 x2
O 0.4734 0.7318 0.3942 x2
O 0.4805 0.8090 0.8833 x2

***

Record 2
Compound: PW5O17
Source: the Materials Project database
Functional: PBE with a Hubbard U
Structure: relaxed

Output
* magnetization: 2.2 μB per cell
* E (MP2020): -8.976 eV/atom
* distance to the lowest polymorph of the same formula: 0.002 eV per atom
* volume: 14.4 Å³ per atom
* DFT formation energy: -2.266 eV/atom

Cell lengths 5.3906, 36.8050, 6.6832 Å; angles 90.00, 90.08, 90.00 degrees
Space group P2_1 (No. 4)
One atom of each set of equivalent atoms:
P 0.0031 0.0000 0.4441 x2
P 0.4723 0.9393 0.9458 x2
W 0.0000 0.0706 0.0905 x2
W 0.0059 0.1567 0.7562 x2
W 0.0094 0.2408 0.4179 x2
W 0.0127 0.3249 0.0789 x2
W 0.0189 0.4110 0.7486 x2
W 0.4804 0.8689 0.5916 x2
W 0.4867 0.7831 0.2555 x2
W 0.4926 0.6994 0.9130 x2
W 0.4953 0.0282 0.7513 x2
W 0.4991 0.1144 0.4225 x2
O 0.0013 0.1968 0.5900 x2
O 0.0077 0.5242 0.7435 x2
O 0.0075 0.6101 0.0807 x2
O 0.0161 0.2851 0.2466 x2
O 0.0193 0.3702 0.9090 x2
O 0.0238 0.4601 0.6220 x2
O 0.1961 0.7662 0.3918 x2
O 0.1999 0.8532 0.7345 x2
O 0.2099 0.6787 0.0555 x2
O 0.2131 0.5085 0.4126 x2
O 0.2159 0.1297 0.5649 x2
O 0.2189 0.2159 0.2300 x2
O 0.2196 0.9344 0.0496 x2
O 0.2211 0.0432 0.9002 x2
O 0.2240 0.5914 0.7273 x2
O 0.2334 0.3039 0.8934 x2
O 0.2469 0.3925 0.5639 x2
O 0.2511 0.8966 0.4054 x2
O 0.2567 0.0044 0.5489 x2
O 0.2699 0.8093 0.0634 x2
O 0.2779 0.0865 0.2328 x2
O 0.2807 0.5468 0.0626 x2
O 0.2832 0.6355 0.3924 x2
O 0.2861 0.7219 0.7259 x2
O 0.2891 0.1726 0.8985 x2
O 0.2976 0.3479 0.2272 x2
O 0.3057 0.2606 0.5606 x2
O 0.3117 0.4304 0.9121 x2
O 0.4808 0.8292 0.4199 x2
O 0.4859 0.9159 0.7552 x2
O 0.4914 0.7412 0.0836 x2
O 0.4959 0.9797 0.8856 x2
O 0.4981 0.0687 0.5883 x2
O 0.4989 0.6539 0.7499 x2

***

Record 3
Compound: P2WO7
Source: the Materials Project database
Functional: PBE with a Hubbard U
Structure: relaxed

Output
* E (MP2020): -8.350 eV/atom
* distance to the lowest polymorph of the same formula: 0.017 eV per atom
* volume: 14.9 Å³ per atom
* DFT formation energy: -2.508 eV/atom

Cell lengths 8.4170, 8.4170, 8.4170 Å; angles 90.00, 90.00, 90.00 degrees
Space group Pa-3 (No. 205)
One atom of each set of equivalent atoms:
P 0.1090 0.1090 0.1090 x8
W 0.0000 0.0000 0.5000 x4
O 0.0000 0.0000 0.0000 x4
O 0.0554 0.2206 0.5868 x24

***

Record 4
Compound: P3W2O13
Source: the Materials Project database
Functional: PBE with a Hubbard U
Structure: relaxed

Output
* magnetization: 3.3 μB per cell
* E (MP2020): -8.339 eV/atom
* distance to the lowest polymorph of the same formula: 0.008 eV per atom
* volume: 14.3 Å³ per atom
* DFT formation energy: -2.424 eV/atom

Cell lengths 6.4759, 22.7426, 8.7689 Å; angles 90.00, 127.02, 90.00 degrees
Space group P2_1/c (No. 14)
One atom of each set of equivalent atoms:
P 0.0195 0.0988 0.2976 x4
P 0.3604 0.2032 0.0860 x4
P 0.4689 0.5837 0.8525 x4
W 0.2555 0.7060 0.5448 x4
W 0.4495 0.0625 0.2256 x4
O 0.0631 0.2097 0.9649 x4
O 0.0643 0.6606 0.3018 x4
O 0.1236 0.0599 0.2177 x4
O 0.1839 0.7257 0.9377 x4
O 0.1900 0.5680 0.2073 x4
O 0.2446 0.1142 0.5149 x4
O 0.2711 0.0579 0.9792 x4
O 0.3196 0.6265 0.6837 x4
O 0.3720 0.5787 0.9717 x4
O 0.4317 0.1931 0.9476 x4
O 0.4532 0.1543 0.2310 x4
O 0.4912 0.0249 0.7094 x4
O 0.4967 0.2380 0.6939 x4

***

Record 5
Compound: P2W5O19
Source: the Materials Project database
Functional: PBE with a Hubbard U
Structure: relaxed

Output
* magnetization: 4.0 μB per cell
* E (MP2020): -8.846 eV/atom
* distance to the lowest polymorph of the same formula: 0.008 eV per atom
* volume: 14.6 Å³ per atom
* DFT formation energy: -2.322 eV/atom

Cell lengths 5.3953, 6.7100, 21.5697 Å; angles 90.00, 104.15, 90.00 degrees
Space group P2_1/c (No. 14)
One atom of each set of equivalent atoms:
P 0.1847 0.0302 0.1965 x4
W 0.0711 0.6699 0.0740 x4
W 0.3554 0.6649 0.8525 x4
W 0.5000 0.0000 0.0000 x2
O 0.0000 0.0000 0.5000 x2
O 0.0735 0.6386 0.3115 x4
O 0.1142 0.5120 0.8800 x4
O 0.1524 0.6585 0.6552 x4
O 0.2302 0.1800 0.9573 x4
O 0.2636 0.6500 0.5359 x4
O 0.2783 0.5295 0.7674 x4
O 0.3825 0.5164 0.1136 x4
O 0.3876 0.1697 0.1808 x4
O 0.4257 0.6759 0.4253 x4

***

Record 6
Compound: PW2O8
Source: the Materials Project database
Functional: PBE with a Hubbard U
Structure: relaxed

Output
* magnetization: 4.0 μB per cell
* E (MP2020): -8.806 eV/atom
* largest piezoelectric modulus: 0.15 C/m2
* volume: 14.6 Å³ per atom
* DFT formation energy: -2.359 eV/atom

Cell lengths 5.3743, 6.7268, 17.7798 Å; angles 90.00, 90.00, 90.00 degrees
Space group P2_12_12_1 (No. 19)
One atom of each set of equivalent atoms:
P 0.2323 0.0496 0.1887 x4
W 0.2420 0.4093 0.0462 x4
W 0.2422 0.7503 0.8716 x4
O 0.0224 0.4450 0.3205 x4
O 0.0231 0.5988 0.0994 x4
O 0.0283 0.9382 0.9096 x4
O 0.0532 0.7672 0.4954 x4
O 0.0548 0.0952 0.6684 x4
O 0.2383 0.8913 0.7718 x4
O 0.2421 0.5942 0.9570 x4
O 0.2436 0.2379 0.1408 x4

***

Record 7
Compound: P2WO7
Source: the Materials Project database
Functional: PBE with a Hubbard U
Structure: relaxed

Output
* E (MP2020): -8.367 eV/atom
* distance to the lowest polymorph of the same formula: 0.000 eV per atom
* volume: 14.2 Å³ per atom
* DFT formation energy: -2.525 eV/atom

Cell lengths 5.0059, 8.3132, 7.2053 Å; angles 90.00, 108.94, 90.00 degrees
Space group P2_1 (No. 4)
One atom of each set of equivalent atoms:
P 0.0930 0.0000 0.4742 x2
P 0.2782 0.4018 0.9109 x2
W 0.2924 0.6767 0.2798 x2
O 0.0858 0.2558 0.9108 x2
O 0.0987 0.5087 0.3976 x2
O 0.0993 0.5325 0.7501 x2
O 0.2205 0.8336 0.4855 x2
O 0.3170 0.1335 0.5213 x2
O 0.3713 0.4926 0.1014 x2
O 0.4714 0.8493 0.1517 x2